Entry 1:
# GGA-PBE KTeO4, optimized geometry
# total DFT energy (no corrections): -5.0065 eV/atom
# calculated volume: 96.6 Å³/f.u.
# energy of formation from the pure elements: -1.46 eV/atom
data_KTeO4
_cell_length_a 5.169
_cell_length_b 11.486
_cell_length_c 6.510
_cell_angle_alpha 90.00
_cell_angle_beta 91.83
_cell_angle_gamma 90.00
_symmetry_space_group_name_H-M 'P 1'
_symmetry_Int_Tables_number 1
loop_
_symmetry_equiv_pos_as_xyz
'x,y,z'
loop_
_atom_site_label
_atom_site_fract_x
_atom_site_fract_y
_atom_site_fract_z
_atom_site_occupancy
K1 0.239 0.161 0.489 1
K2 0.239 0.339 0.989 1
K3 0.761 0.661 0.011 1
K4 0.761 0.839 0.511 1
Te1 0.251 0.577 0.507 1
Te2 0.251 0.923 0.007 1
Te3 0.749 0.077 0.993 1
Te4 0.749 0.423 0.493 1
O1 0.060 0.046 0.831 1
O2 0.060 0.454 0.331 1
O3 0.102 0.692 0.330 1
O4 0.102 0.808 0.830 1
O5 0.407 0.681 0.704 1
O6 0.407 0.819 0.204 1
O7 0.438 0.054 0.160 1
O8 0.438 0.446 0.660 1
O9 0.562 0.554 0.340 1
O10 0.562 0.946 0.840 1
O11 0.593 0.181 0.796 1
O12 0.593 0.319 0.296 1
O13 0.898 0.192 0.170 1
O14 0.898 0.308 0.670 1
O15 0.940 0.546 0.669 1
O16 0.940 0.954 0.169 1


Entry 2:
# GGA-PBE Cu4BrCl3, optimized geometry
# total DFT energy (no corrections): -3.1118 eV/atom
# calculated volume: 139.7 Å³/f.u.
# energy of formation from the pure elements: -0.39 eV/atom
data_Cu4BrCl3
_cell_length_a 3.678
_cell_length_b 3.678
_cell_length_c 10.327
_cell_angle_alpha 90.00
_cell_angle_beta 90.00
_cell_angle_gamma 90.00
_symmetry_space_group_name_H-M 'P 1'
_symmetry_Int_Tables_number 1
loop_
_symmetry_equiv_pos_as_xyz
'x,y,z'
loop_
_atom_site_label
_atom_site_fract_x
_atom_site_fract_y
_atom_site_fract_z
_atom_site_occupancy
Cu1 0.000 0.000 0.000 1
Cu2 0.000 0.000 0.500 1
Cu3 0.500 0.500 0.247 1
Cu4 0.500 0.500 0.753 1
Br1 0.500 0.500 0.500 1
Cl1 0.000 0.000 0.246 1
Cl2 0.000 0.000 0.754 1
Cl3 0.500 0.500 0.000 1


Entry 3:
# GGA-PBE LiCuF3, optimized geometry
# total DFT energy (no corrections): -4.4140 eV/atom
# calculated volume: 53.3 Å³/f.u.
# energy above the lowest structure with this stoichiometry: 0 meV per atom
# energy of formation from the pure elements: -2.34 eV/atom
data_LiCuF3
_cell_length_a 5.533
_cell_length_b 5.533
_cell_length_c 5.533
_cell_angle_alpha 55.26
_cell_angle_beta 55.26
_cell_angle_gamma 55.26
_symmetry_space_group_name_H-M 'P 1'
_symmetry_Int_Tables_number 1
loop_
_symmetry_equiv_pos_as_xyz
'x,y,z'
loop_
_atom_site_label
_atom_site_fract_x
_atom_site_fract_y
_atom_site_fract_z
_atom_site_occupancy
Li1 0.000 0.000 0.000 1
Li2 0.500 0.500 0.500 1
Cu1 0.205 0.205 0.205 1
Cu2 0.705 0.705 0.705 1
F1 0.101 0.809 0.427 1
F2 0.309 0.601 0.927 1
F3 0.427 0.101 0.809 1
F4 0.601 0.927 0.309 1
F5 0.809 0.427 0.101 1
F6 0.927 0.309 0.601 1


Entry 4:
# GGA-PBE K2Er2P3O12, optimized geometry
# total DFT energy (no corrections): -7.2521 eV/atom
# calculated volume: 305.1 Å³/f.u.
# energy of formation from the pure elements: -3.11 eV/atom
data_K2Er2P3O12
_cell_length_a 10.686
_cell_length_b 10.686
_cell_length_c 10.686
_cell_angle_alpha 90.00
_cell_angle_beta 90.00
_cell_angle_gamma 90.00
_symmetry_space_group_name_H-M 'P 1'
_symmetry_Int_Tables_number 1
loop_
_symmetry_equiv_pos_as_xyz
'x,y,z'
loop_
_atom_site_label
_atom_site_fract_x
_atom_site_fract_y
_atom_site_fract_z
_atom_site_occupancy
K1 0.046 0.046 0.046 1
K2 0.181 0.319 0.681 1
K3 0.319 0.681 0.181 1
K4 0.454 0.954 0.546 1
K5 0.546 0.454 0.954 1
K6 0.681 0.181 0.319 1
K7 0.819 0.819 0.819 1
K8 0.954 0.546 0.454 1
Er1 0.102 0.898 0.398 1
Er2 0.166 0.666 0.834 1
Er3 0.334 0.334 0.334 1
Er4 0.398 0.102 0.898 1
Er5 0.602 0.602 0.602 1
Er6 0.666 0.834 0.166 1
Er7 0.834 0.166 0.666 1
Er8 0.898 0.398 0.102 1
P1 0.015 0.213 0.374 1
P2 0.126 0.985 0.713 1
P3 0.213 0.374 0.015 1
P4 0.287 0.626 0.515 1
P5 0.374 0.015 0.213 1
P6 0.485 0.787 0.874 1
P7 0.515 0.287 0.626 1
P8 0.626 0.515 0.287 1
P9 0.713 0.126 0.985 1
P10 0.787 0.874 0.485 1
P11 0.874 0.485 0.787 1
P12 0.985 0.713 0.126 1
O1 0.007 0.065 0.728 1
O2 0.015 0.075 0.330 1
O3 0.045 0.795 0.229 1
O4 0.065 0.728 0.007 1
O5 0.075 0.330 0.015 1
O6 0.100 0.849 0.758 1
O7 0.151 0.258 0.400 1
O8 0.170 0.985 0.575 1
O9 0.205 0.729 0.455 1
O10 0.228 0.493 0.935 1
O11 0.229 0.045 0.795 1
O12 0.242 0.600 0.651 1
O13 0.258 0.400 0.151 1
O14 0.271 0.955 0.295 1
O15 0.272 0.507 0.435 1
O16 0.295 0.271 0.955 1
O17 0.330 0.015 0.075 1
O18 0.349 0.742 0.900 1
O19 0.400 0.151 0.258 1
O20 0.425 0.670 0.515 1
O21 0.435 0.272 0.507 1
O22 0.455 0.205 0.729 1
O23 0.485 0.925 0.830 1
O24 0.493 0.935 0.228 1
O25 0.507 0.435 0.272 1
O26 0.515 0.425 0.670 1
O27 0.545 0.705 0.771 1
O28 0.565 0.772 0.993 1
O29 0.575 0.170 0.985 1
O30 0.600 0.651 0.242 1
O31 0.651 0.242 0.600 1
O32 0.670 0.515 0.425 1
O33 0.705 0.771 0.545 1
O34 0.728 0.007 0.065 1
O35 0.729 0.455 0.205 1
O36 0.742 0.900 0.349 1
O37 0.758 0.100 0.849 1
O38 0.771 0.545 0.705 1
O39 0.772 0.993 0.565 1
O40 0.795 0.229 0.045 1
O41 0.830 0.485 0.925 1
O42 0.849 0.758 0.100 1
O43 0.900 0.349 0.742 1
O44 0.925 0.830 0.485 1
O45 0.935 0.228 0.493 1
O46 0.955 0.295 0.271 1
O47 0.985 0.575 0.170 1
O48 0.993 0.565 0.772 1


Entry 5:
# GGA-PBE LaReN3, optimized geometry
# total DFT energy (no corrections): -9.1783 eV/atom
# calculated volume: 91.9 Å³/f.u.
# energy of formation from the pure elements: -0.92 eV/atom
data_LaReN3
_cell_length_a 7.063
_cell_length_b 5.375
_cell_length_c 11.279
_cell_angle_alpha 90.00
_cell_angle_beta 120.81
_cell_angle_gamma 90.00
_symmetry_space_group_name_H-M 'P 1'
_symmetry_Int_Tables_number 1
loop_
_symmetry_equiv_pos_as_xyz
'x,y,z'
loop_
_atom_site_label
_atom_site_fract_x
_atom_site_fract_y
_atom_site_fract_z
_atom_site_occupancy
La1 0.221 0.208 0.333 1
La2 0.221 0.292 0.833 1
La3 0.779 0.708 0.167 1
La4 0.779 0.792 0.667 1
Re1 0.095 0.720 0.008 1
Re2 0.095 0.780 0.508 1
Re3 0.905 0.220 0.492 1
Re4 0.905 0.280 0.992 1
N1 0.032 0.520 0.618 1
N2 0.032 0.980 0.118 1
N3 0.088 0.502 0.151 1
N4 0.088 0.998 0.651 1
N5 0.363 0.694 0.035 1
N6 0.363 0.806 0.535 1
N7 0.637 0.194 0.465 1
N8 0.637 0.306 0.965 1
N9 0.912 0.002 0.349 1
N10 0.912 0.498 0.849 1
N11 0.968 0.020 0.882 1
N12 0.968 0.480 0.382 1


Entry 6:
# GGA-PBE InSb3, optimized geometry
# total DFT energy (no corrections): -3.5950 eV/atom
# calculated volume: 111.0 Å³/f.u.
# energy of formation from the pure elements: 0.05 eV/atom
data_InSb3
_cell_length_a 4.806
_cell_length_b 4.806
_cell_length_c 4.806
_cell_angle_alpha 90.00
_cell_angle_beta 90.00
_cell_angle_gamma 90.00
_symmetry_space_group_name_H-M 'P 1'
_symmetry_Int_Tables_number 1
loop_
_symmetry_equiv_pos_as_xyz
'x,y,z'
loop_
_atom_site_label
_atom_site_fract_x
_atom_site_fract_y
_atom_site_fract_z
_atom_site_occupancy
In1 0.000 0.000 0.000 1
Sb1 0.000 0.500 0.500 1
Sb2 0.500 0.000 0.500 1
Sb3 0.500 0.500 0.000 1


Entry 7:
# GGA-PBE LiB6H6, optimized geometry
# total DFT energy (no corrections): -5.1157 eV/atom
# calculated volume: 112.0 Å³/f.u.
# energy above the lowest structure with this stoichiometry: 0 meV per atom
# energy of formation from the pure elements: -0.40 eV/atom
data_LiB6H6
_cell_length_a 9.640
_cell_length_b 9.640
_cell_length_c 9.640
_cell_angle_alpha 90.00
_cell_angle_beta 90.00
_cell_angle_gamma 90.00
_symmetry_space_group_name_H-M 'P 1'
_symmetry_Int_Tables_number 1
loop_
_symmetry_equiv_pos_as_xyz
'x,y,z'
loop_
_atom_site_label
_atom_site_fract_x
_atom_site_fract_y
_atom_site_fract_z
_atom_site_occupancy
Li1 0.141 0.141 0.141 1
Li2 0.141 0.359 0.641 1
Li3 0.359 0.641 0.141 1
Li4 0.359 0.859 0.641 1
Li5 0.641 0.141 0.359 1
Li6 0.641 0.359 0.859 1
Li7 0.859 0.641 0.359 1
Li8 0.859 0.859 0.859 1
B1 0.036 0.537 0.832 1
B2 0.036 0.963 0.332 1
B3 0.037 0.668 0.964 1
B4 0.037 0.832 0.464 1
B5 0.088 0.121 0.410 1
B6 0.088 0.379 0.910 1
B7 0.090 0.588 0.121 1
B8 0.090 0.912 0.621 1
B9 0.121 0.090 0.588 1
B10 0.121 0.410 0.088 1
B11 0.168 0.536 0.963 1
B12 0.168 0.964 0.463 1
B13 0.332 0.036 0.963 1
B14 0.332 0.464 0.463 1
B15 0.379 0.590 0.588 1
B16 0.379 0.910 0.088 1
B17 0.410 0.088 0.121 1
B18 0.410 0.412 0.621 1
B19 0.412 0.621 0.410 1
B20 0.412 0.879 0.910 1
B21 0.463 0.168 0.964 1
B22 0.463 0.332 0.464 1
B23 0.464 0.037 0.832 1
B24 0.464 0.463 0.332 1
B25 0.536 0.537 0.668 1
B26 0.536 0.963 0.168 1
B27 0.537 0.668 0.536 1
B28 0.537 0.832 0.036 1
B29 0.588 0.121 0.090 1
B30 0.588 0.379 0.590 1
B31 0.590 0.588 0.379 1
B32 0.590 0.912 0.879 1
B33 0.621 0.090 0.912 1
B34 0.621 0.410 0.412 1
B35 0.668 0.536 0.537 1
B36 0.668 0.964 0.037 1
B37 0.832 0.036 0.537 1
B38 0.832 0.464 0.037 1
B39 0.879 0.590 0.912 1
B40 0.879 0.910 0.412 1
B41 0.910 0.088 0.379 1
B42 0.910 0.412 0.879 1
B43 0.912 0.621 0.090 1
B44 0.912 0.879 0.590 1
B45 0.963 0.168 0.536 1
B46 0.963 0.332 0.036 1
B47 0.964 0.037 0.668 1
B48 0.964 0.463 0.168 1
H1 0.061 0.565 0.713 1
H2 0.061 0.935 0.213 1
H3 0.065 0.713 0.439 1
H4 0.065 0.787 0.939 1
H5 0.152 0.208 0.347 1
H6 0.152 0.292 0.847 1
H7 0.153 0.652 0.208 1
H8 0.153 0.848 0.708 1
H9 0.208 0.153 0.652 1
H10 0.208 0.347 0.152 1
H11 0.213 0.061 0.935 1
H12 0.213 0.439 0.435 1
H13 0.287 0.561 0.935 1
H14 0.287 0.939 0.435 1
H15 0.292 0.653 0.652 1
H16 0.292 0.847 0.152 1
H17 0.347 0.152 0.208 1
H18 0.347 0.348 0.708 1
H19 0.348 0.708 0.347 1
H20 0.348 0.792 0.847 1
H21 0.435 0.213 0.439 1
H22 0.435 0.287 0.939 1
H23 0.439 0.065 0.713 1
H24 0.439 0.435 0.213 1
H25 0.561 0.565 0.787 1
H26 0.561 0.935 0.287 1
H27 0.565 0.713 0.061 1
H28 0.565 0.787 0.561 1
H29 0.652 0.208 0.153 1
H30 0.652 0.292 0.653 1
H31 0.653 0.652 0.292 1
H32 0.653 0.848 0.792 1
H33 0.708 0.153 0.848 1
H34 0.708 0.347 0.348 1
H35 0.713 0.061 0.565 1
H36 0.713 0.439 0.065 1
H37 0.787 0.561 0.565 1
H38 0.787 0.939 0.065 1
H39 0.792 0.653 0.848 1
H40 0.792 0.847 0.348 1
H41 0.847 0.152 0.292 1
H42 0.847 0.348 0.792 1
H43 0.848 0.708 0.153 1
H44 0.848 0.792 0.653 1
H45 0.935 0.213 0.061 1
H46 0.935 0.287 0.561 1
H47 0.939 0.065 0.787 1
H48 0.939 0.435 0.287 1


> Which formula does entry 3 have?

LiCuF3


> What is the formula in the fourth record?

K2Er2P3O12


What did the second record say?
# GGA-PBE Cu4BrCl3, optimized geometry
# total DFT energy (no corrections): -3.1118 eV/atom
# calculated volume: 139.7 Å³/f.u.
# energy of formation from the pure elements: -0.39 eV/atom
data_Cu4BrCl3
_cell_length_a 3.678
_cell_length_b 3.678
_cell_length_c 10.327
_cell_angle_alpha 90.00
_cell_angle_beta 90.00
_cell_angle_gamma 90.00
_symmetry_space_group_name_H-M 'P 1'
_symmetry_Int_Tables_number 1
loop_
_symmetry_equiv_pos_as_xyz
'x,y,z'
loop_
_atom_site_label
_atom_site_fract_x
_atom_site_fract_y
_atom_site_fract_z
_atom_site_occupancy
Cu1 0.000 0.000 0.000 1
Cu2 0.000 0.000 0.500 1
Cu3 0.500 0.500 0.247 1
Cu4 0.500 0.500 0.753 1
Br1 0.500 0.500 0.500 1
Cl1 0.000 0.000 0.246 1
Cl2 0.000 0.000 0.754 1
Cl3 0.500 0.500 0.000 1


> Among the records above, which one has the lowest calculated volume?

LiCuF3